Ba3Ge4C2 after structural relaxation. Source: the Materials Project database, functional PBE.

## Properties
**V**: 33.50 A^3/atom
**Calculated formation energy**: -0.116 eV/atom
**Energy**: -4.861 eV per atom

abc: 9.852 9.852 9.852
angles: 126.79 125.39 79.75
Sites, in units of the cell vectors:
Ba (0.188, 0.730, 0.918)
Ba (0.250, 0.250, 0.000)
Ba (0.312, 0.230, 0.543)
Ba (0.688, 0.770, 0.457)
Ba (0.750, 0.750, 0.000)
Ba (0.812, 0.270, 0.082)
Ge (0.089, 0.588, 0.289)
Ge (0.201, 0.912, 0.501)
Ge (0.299, 0.800, 0.711)
Ge (0.411, 0.700, 0.499)
Ge (0.589, 0.300, 0.501)
Ge (0.701, 0.200, 0.289)
Ge (0.799, 0.088, 0.499)
Ge (0.911, 0.412, 0.711)
C (0.060, 0.038, 0.097)
C (0.440, 0.538, 0.978)
C (0.560, 0.462, 0.022)
C (0.940, 0.962, 0.903)